Record 1
# YSiPd | Materials Project | PBE | relaxed
data_YSiPd
_cell_length_a 10.3898
_cell_length_b 4.2447
_cell_length_c 6.9966
_cell_angle_alpha 90.00
_cell_angle_beta 132.22
_cell_angle_gamma 90.00
_symmetry_space_group_name_H-M 'C 1 2/m 1'
_symmetry_Int_Tables_number 12
_symmetry_space_group_name_Hall '-C 2y'
loop_
_atom_site_label
_atom_site_type_symbol
_atom_site_fract_x
_atom_site_fract_y
_atom_site_fract_z
_atom_site_occupancy
Y1 Y 0.0507 0.0000 0.2905 1
Si1 Si 0.1512 0.5000 0.7036 1
Pd1 Pd 0.1833 0.5000 0.1199 1
# E_tot, eV/f.u.: -19.9

=====

Record 2
# Y2Si3Pd | Materials Project | PBE | relaxed
data_Y2Si3Pd
_cell_length_a 8.2266
_cell_length_b 8.2266
_cell_length_c 7.9181
_cell_angle_alpha 90.00
_cell_angle_beta 90.00
_cell_angle_gamma 120.00
_symmetry_space_group_name_H-M 'P 63/m m c'
_symmetry_Int_Tables_number 194
_symmetry_space_group_name_Hall '-P 6c 2c'
loop_
_atom_site_label
_atom_site_type_symbol
_atom_site_fract_x
_atom_site_fract_y
_atom_site_fract_z
_atom_site_occupancy
Y1 Y 0.0000 0.0000 0.2500 1
Y2 Y 0.0236 0.5118 0.2500 1
Si1 Si 0.1656 0.3312 0.5023 1
Pd1 Pd 0.3333 0.6667 0.5422 1
# E_tot, eV/f.u.: -39.8

=====

Record 3
# YSiPd2 | Materials Project | PBE | relaxed
data_YSiPd2
_cell_length_a 7.3681
_cell_length_b 7.0097
_cell_length_c 5.5362
_cell_angle_alpha 90.00
_cell_angle_beta 90.00
_cell_angle_gamma 90.00
_symmetry_space_group_name_H-M 'P n m a'
_symmetry_Int_Tables_number 62
_symmetry_space_group_name_Hall '-P 2ac 2n'
loop_
_atom_site_label
_atom_site_type_symbol
_atom_site_fract_x
_atom_site_fract_y
_atom_site_fract_z
_atom_site_occupancy
Y1 Y 0.0284 0.2500 0.1395 1
Si1 Si 0.1221 0.7500 0.3595 1
Pd1 Pd 0.1775 0.0521 0.5948 1
# E_tot, eV/f.u.: -26.2

=====

Record 4
# YSi2Pd2 | Materials Project | PBE | relaxed
data_YSi2Pd2
_cell_length_a 4.1553
_cell_length_b 4.1553
_cell_length_c 10.0035
_cell_angle_alpha 90.00
_cell_angle_beta 90.00
_cell_angle_gamma 90.00
_symmetry_space_group_name_H-M 'I 4/m m m'
_symmetry_Int_Tables_number 139
_symmetry_space_group_name_Hall '-I 4 2'
loop_
_atom_site_label
_atom_site_type_symbol
_atom_site_fract_x
_atom_site_fract_y
_atom_site_fract_z
_atom_site_occupancy
Y1 Y 0.0000 0.0000 0.0000 1
Si1 Si 0.0000 0.0000 0.3836 1
Pd1 Pd 0.0000 0.5000 0.2500 1
# E_tot, eV/f.u.: -32.4

=====

Record 5
# YSiPd | Materials Project | PBE | relaxed
data_YSiPd
_cell_length_a 4.3406
_cell_length_b 14.0321
_cell_length_c 7.4836
_cell_angle_alpha 90.00
_cell_angle_beta 90.00
_cell_angle_gamma 90.00
_symmetry_space_group_name_H-M 'P m m n'
_symmetry_Int_Tables_number 59
loop_
_symmetry_equiv_pos_as_xyz
'x,y,z'
'-x,-y,-z'
'-x+1/2,-y+1/2,z'
'x+1/2,y+1/2,-z'
'x+1/2,-y,-z'
'-x+1/2,y,z'
'-x,y+1/2,-z'
'x,-y+1/2,z'
loop_
_atom_site_label
_atom_site_type_symbol
_atom_site_fract_x
_atom_site_fract_y
_atom_site_fract_z
_atom_site_occupancy
Y1 Y 0.2500 0.0015 0.2101 1
Y2 Y 0.2500 0.2500 0.2996 1
Y3 Y 0.2500 0.7500 0.2924 1
Si1 Si 0.2500 0.1038 0.5916 1
Si2 Si 0.2500 0.6572 0.9095 1
Pd1 Pd 0.2500 0.1421 0.9231 1
Pd2 Pd 0.2500 0.5943 0.5818 1
# E_tot, eV/f.u.: -20.1

=====

Record 6
# ZrSi3Pd3 | Materials Project | PBE | relaxed
data_ZrSi3Pd3
_cell_length_a 3.8511
_cell_length_b 15.7333
_cell_length_c 7.1320
_cell_angle_alpha 90.00
_cell_angle_beta 90.00
_cell_angle_gamma 90.00
_symmetry_space_group_name_H-M 'C m c m'
_symmetry_Int_Tables_number 63
_symmetry_space_group_name_Hall '-C 2c 2'
loop_
_atom_site_label
_atom_site_type_symbol
_atom_site_fract_x
_atom_site_fract_y
_atom_site_fract_z
_atom_site_occupancy
Zr1 Zr 0.0000 0.0112 0.2500 1
Si1 Si 0.0000 0.2618 0.2500 1
Si2 Si 0.0000 0.4264 0.0323 1
Pd1 Pd 0.0000 0.1753 0.5531 1
Pd2 Pd 0.0000 0.3398 0.7500 1
# E_tot, eV/f.u.: -45.5

=====

Record 7
# SmPd2 | Materials Project | PBE | relaxed
data_SmPd2
_cell_length_a 3.9475
_cell_length_b 3.9475
_cell_length_c 8.7382
_cell_angle_alpha 90.00
_cell_angle_beta 90.00
_cell_angle_gamma 90.00
_symmetry_space_group_name_H-M 'I 4/m m m'
_symmetry_Int_Tables_number 139
_symmetry_space_group_name_Hall '-I 4 2'
loop_
_atom_site_label
_atom_site_type_symbol
_atom_site_fract_x
_atom_site_fract_y
_atom_site_fract_z
_atom_site_occupancy
Sm1 Sm 0.0000 0.0000 0.0000 1
Pd1 Pd 0.0000 0.5000 0.2500 1
# E_tot, eV/f.u.: -16.8

=====

Record 8
# Sm3Pd | Materials Project | PBE | relaxed
data_Sm3Pd
_cell_length_a 4.7914
_cell_length_b 4.7914
_cell_length_c 4.7914
_cell_angle_alpha 90.00
_cell_angle_beta 90.00
_cell_angle_gamma 90.00
_symmetry_space_group_name_H-M 'P m -3 m'
_symmetry_Int_Tables_number 221
_symmetry_space_group_name_Hall '-P 4 2 3'
loop_
_atom_site_label
_atom_site_type_symbol
_atom_site_fract_x
_atom_site_fract_y
_atom_site_fract_z
_atom_site_occupancy
Sm1 Sm 0.0000 0.0000 0.5000 1
Pd1 Pd 0.5000 0.5000 0.5000 1
# E_tot, eV/f.u.: -19.9
# Offset from the most stable computed form, meV/atom: 4